Below is a relaxed structure of Li8Mn7FeB8O24, with properties calculated at the PBE with a Hubbard U level.

Structure (POSCAR):
```
Li8Mn7FeB8O24
1.0
5.252 0.000 0.000
0.023 9.125 0.000
0.174 0.321 10.520
Li Mn Fe B O
8 7 1 8 24
Direct
0.000 0.000 0.000
0.015 0.995 0.500
0.326 0.343 0.251
0.368 0.329 0.751
0.500 0.499 0.001
0.516 0.494 0.500
0.826 0.843 0.251
0.867 0.830 0.751
0.010 0.332 0.964
0.011 0.667 0.466
0.338 0.008 0.216
0.358 0.667 0.716
0.511 0.833 0.966
0.512 0.167 0.468
0.839 0.507 0.215
0.865 0.167 0.715
0.009 0.336 0.459
0.016 0.666 0.958
0.337 0.670 0.209
0.354 0.000 0.710
0.508 0.836 0.459
0.516 0.166 0.957
0.837 0.170 0.209
0.851 0.497 0.708
0.084 0.685 0.250
0.091 0.989 0.696
0.270 0.348 0.444
0.276 0.650 0.928
0.354 0.958 0.429
0.374 0.045 0.000
0.397 0.704 0.501
0.404 0.303 0.943
0.445 0.533 0.194
0.474 0.134 0.681
0.482 0.796 0.179
0.498 0.879 0.749
0.584 0.185 0.250
0.591 0.484 0.693
0.769 0.848 0.444
0.776 0.150 0.926
0.854 0.457 0.428
0.874 0.544 0.000
0.898 0.204 0.502
0.904 0.803 0.943
0.945 0.033 0.194
0.968 0.632 0.679
0.983 0.295 0.178
0.997 0.376 0.747
```

Properties
DFT formation energy: -2.485 eV per atom
corrected total energy (MP2020 scheme): -7.9030 eV per atom
ρ: 3.18 Mg/m³